VASP calculation (PBE) on an optimized crystal structure of EuGa2Ge4.

Output
Distance to the lowest polymorph of the same formula ... 0.009 eV/atom
Size of the total moment ... 7.0 μB per formula unit
E_form ... -0.219 eV/atom
VASP energy ... -72.68 eV for the cell shown
Space-group type ... Cmcm (63)

Geometry as POSCAR:
```
EuGa2Ge4
1.0
-0.0717 5.9584 0.3758
-2.8290 -4.2013 -3.1616
-9.2256 -0.6895 9.1713
Eu Ga Ge
2 4 8
Direct
0.7923 0.2077 0.2500 Eu
0.2077 0.7923 0.7500 Eu
0.9369 0.0631 0.6544 Ga
0.0631 0.9369 0.3456 Ga
0.9369 0.0631 0.8456 Ga
0.0631 0.9369 0.1544 Ga
0.5259 0.4741 0.5946 Ge
0.4741 0.5259 0.4054 Ge
0.2520 0.7480 0.4502 Ge
0.4741 0.5259 0.0946 Ge
0.7480 0.2520 0.5498 Ge
0.5259 0.4741 0.9054 Ge
0.2520 0.7480 0.0498 Ge
0.7480 0.2520 0.9502 Ge
```